No. 1
A relaxed Na4La2Si3Sn2S3O24 crystal. Source: Materials Project, functional PBE-GGA.

Unit cell a=9.366 b=9.402 c=23.695 alpha=88.99 beta=88.80 gamma=60.25
Element x y z (fractional)
Na 0.000 0.000 0.000
Na 0.007 0.326 0.430
Na 0.015 0.315 0.926
Na 0.042 0.622 0.847
Na 0.338 0.342 0.337
Na 0.370 0.618 0.259
Na 0.380 0.637 0.766
Na 0.395 0.953 0.161
Na 0.660 0.665 0.675
Na 0.671 0.990 0.591
Na 0.692 0.965 0.085
Na 0.705 0.290 0.506
La 0.013 0.323 0.276
La 0.020 0.299 0.779
La 0.362 0.631 0.107
La 0.364 0.637 0.609
La 0.682 0.976 0.943
La 0.690 0.973 0.444
Si 0.000 0.964 0.845
Si 0.073 0.641 0.003
Si 0.334 0.303 0.180
Si 0.345 0.350 0.508
Si 0.347 0.954 0.015
Si 0.671 0.631 0.512
Si 0.680 0.295 0.347
Si 0.680 0.696 0.837
Si 0.738 0.294 0.673
Sn 0.019 0.315 0.572
Sn 0.061 0.321 0.068
Sn 0.350 0.679 0.907
Sn 0.381 0.622 0.414
Sn 0.683 0.018 0.241
Sn 0.705 0.984 0.745
S 0.005 0.620 0.675
S 0.011 0.686 0.340
S 0.016 0.026 0.172
S 0.074 0.952 0.505
S 0.337 0.024 0.672
S 0.396 0.962 0.339
S 0.404 0.293 0.838
S 0.675 0.355 0.005
S 0.737 0.622 0.170
O 0.025 0.110 0.222
O 0.030 0.526 0.728
O 0.040 0.111 0.843
O 0.043 0.513 0.337
O 0.056 0.472 0.008
O 0.064 0.117 0.506
O 0.139 0.658 0.668
O 0.145 0.862 0.557
O 0.159 0.658 0.059
O 0.163 0.130 0.015
O 0.168 0.863 0.171
O 0.175 0.863 0.454
O 0.176 0.677 0.343
O 0.176 0.783 0.844
O 0.178 0.332 0.517
O 0.190 0.615 0.945
O 0.232 0.325 0.832
O 0.233 0.114 0.336
O 0.237 0.273 0.126
O 0.246 0.307 0.240
O 0.248 0.102 0.723
O 0.250 0.123 0.620
O 0.316 0.460 0.447
O 0.321 0.858 0.960
O 0.358 0.856 0.670
O 0.364 0.457 0.177
O 0.369 0.860 0.074
O 0.376 0.445 0.557
O 0.378 0.815 0.347
O 0.397 0.453 0.840
O 0.472 0.197 0.889
O 0.482 0.985 0.387
O 0.493 0.941 0.285
O 0.496 0.993 0.011
O 0.501 0.475 0.346
O 0.505 0.202 0.786
O 0.506 0.005 0.672
O 0.512 0.172 0.505
O 0.513 0.675 0.847
O 0.516 0.121 0.178
O 0.558 0.460 0.671
O 0.565 0.652 0.169
O 0.570 0.604 0.458
O 0.575 0.657 0.571
O 0.585 0.423 0.058
O 0.587 0.456 0.955
O 0.644 0.208 0.290
O 0.651 0.811 0.777
O 0.694 0.195 0.404
O 0.703 0.185 0.002
O 0.712 0.777 0.504
O 0.714 0.780 0.889
O 0.724 0.123 0.682
O 0.727 0.786 0.171
O 0.809 0.531 0.222
O 0.829 0.327 0.723
O 0.834 0.529 0.119
O 0.837 0.322 0.340
O 0.842 0.779 0.677
O 0.843 0.341 0.008
O 0.844 0.447 0.512
O 0.848 0.519 0.832
O 0.852 0.269 0.613
O 0.866 0.003 0.177
O 0.896 0.807 0.002
O 0.900 0.999 0.903
O 0.902 0.938 0.791
O 0.903 0.983 0.501
O 0.912 0.760 0.390
O 0.928 0.778 0.287
O 0.993 0.529 0.625
O 0.997 0.122 0.119

Results
V in Å³/f.u.: 603.7
Crystal system: triclinic
Calculated formation energy in eV per formula unit: -95.21
SG: P1


No. 2
A relaxed Na4LaTa3Si5SO24 crystal. Source: Materials Project, functional PBE-GGA.

Unit cell a=9.085 b=9.106 c=22.915 alpha=89.95 beta=89.90 gamma=60.37
Element x y z (fractional)
Na 0.000 0.000 0.000
Na 0.004 0.327 0.420
Na 0.024 0.308 0.914
Na 0.051 0.966 0.328
Na 0.301 0.357 0.333
Na 0.310 0.680 0.750
Na 0.341 0.642 0.247
Na 0.377 0.298 0.660
Na 0.658 0.987 0.087
Na 0.665 0.607 0.334
Na 0.681 0.963 0.580
Na 0.696 0.634 0.998
La 0.332 0.648 0.904
La 0.346 0.636 0.404
La 0.694 0.961 0.721
Ta 0.005 0.299 0.764
Ta 0.006 0.311 0.267
Ta 0.010 0.315 0.562
Ta 0.011 0.309 0.069
Ta 0.342 0.643 0.104
Ta 0.358 0.635 0.601
Ta 0.662 0.978 0.434
Ta 0.676 0.975 0.223
Ta 0.684 0.982 0.938
Si 0.013 0.014 0.166
Si 0.027 0.586 0.663
Si 0.045 0.636 0.001
Si 0.282 0.014 0.661
Si 0.300 0.314 0.167
Si 0.339 0.947 0.002
Si 0.344 0.336 0.498
Si 0.382 0.987 0.327
Si 0.640 0.349 0.002
Si 0.649 0.642 0.496
Si 0.685 0.252 0.329
Si 0.712 0.601 0.166
Si 0.716 0.322 0.661
Si 0.951 0.690 0.329
Si 0.974 0.989 0.832
S 0.033 0.948 0.500
S 0.375 0.259 0.831
S 0.694 0.667 0.835
O 0.004 0.122 0.509
O 0.027 0.472 0.609
O 0.037 0.111 0.224
O 0.042 0.470 0.722
O 0.119 0.895 0.443
O 0.135 0.829 0.547
O 0.137 0.671 0.330
O 0.140 0.586 0.940
O 0.144 0.681 0.052
O 0.163 0.832 0.833
O 0.168 0.111 0.721
O 0.174 0.128 0.607
O 0.180 0.339 0.226
O 0.182 0.829 0.157
O 0.186 0.137 0.018
O 0.190 0.295 0.510
O 0.194 0.294 0.114
O 0.197 0.162 0.325
O 0.204 0.592 0.657
O 0.205 0.268 0.833
O 0.264 0.900 0.947
O 0.299 0.428 0.435
O 0.299 0.828 0.654
O 0.313 0.485 0.157
O 0.355 0.427 0.836
O 0.358 0.824 0.330
O 0.362 0.454 0.551
O 0.381 0.805 0.054
O 0.458 0.013 0.662
O 0.458 0.183 0.776
O 0.477 0.007 0.387
O 0.477 0.149 0.883
O 0.487 0.146 0.172
O 0.502 0.969 0.272
O 0.506 0.449 0.055
O 0.506 0.666 0.547
O 0.519 0.438 0.329
O 0.519 0.947 0.988
O 0.524 0.156 0.492
O 0.525 0.618 0.158
O 0.532 0.501 0.655
O 0.555 0.632 0.838
O 0.593 0.466 0.946
O 0.596 0.605 0.433
O 0.651 0.162 0.990
O 0.657 0.819 0.492
O 0.667 0.177 0.660
O 0.670 0.152 0.272
O 0.671 0.766 0.782
O 0.692 0.789 0.171
O 0.700 0.764 0.888
O 0.706 0.135 0.387
O 0.809 0.480 0.224
O 0.812 0.338 0.721
O 0.830 0.501 0.111
O 0.831 0.311 0.606
O 0.834 0.786 0.387
O 0.837 0.299 0.016
O 0.837 0.482 0.509
O 0.845 0.993 0.172
O 0.850 0.997 0.890
O 0.851 0.804 0.272
O 0.855 0.818 0.991
O 0.859 0.268 0.324
O 0.862 0.506 0.832
O 0.863 0.766 0.656
O 0.867 0.953 0.497
O 0.880 0.977 0.775
O 0.966 0.501 0.325
O 0.975 0.173 0.828
O 0.989 0.135 0.111
O 0.992 0.493 0.016

Results
V in Å³/f.u.: 549.3
Crystal system: triclinic
Calculated formation energy in eV per formula unit: -114.34
SG: P1


No. 3
A relaxed Na6La2Ta6Si9S3O48 crystal. Source: Materials Project, functional PBE-GGA.

Unit cell a=9.126 b=15.695 c=23.009 alpha=90.24 beta=90.12 gamma=90.08
Element x y z (fractional)
Na 0.000 0.000 0.000
Na 0.001 0.322 0.176
Na 0.008 0.649 0.838
Na 0.031 0.982 0.515
Na 0.199 0.139 0.420
Na 0.207 0.499 0.434
Na 0.318 0.001 0.932
Na 0.327 0.639 0.916
Na 0.493 0.481 0.010
Na 0.512 0.153 0.341
Na 0.521 0.822 0.678
Na 0.528 0.501 0.508
Na 0.529 0.816 0.178
Na 0.531 0.174 0.835
Na 0.642 0.338 0.426
Na 0.879 0.837 0.923
Na 0.984 0.658 0.343
Na 0.997 0.316 0.679
La 0.003 0.005 0.854
La 0.013 0.326 0.540
La 0.016 0.987 0.354
La 0.507 0.484 0.852
La 0.512 0.827 0.039
La 0.521 0.505 0.355
Ta 0.004 0.654 0.189
Ta 0.005 0.670 0.698
Ta 0.006 0.664 0.489
Ta 0.015 0.329 0.321
Ta 0.026 0.325 0.036
Ta 0.026 0.659 0.993
Ta 0.033 0.329 0.817
Ta 0.496 0.159 0.495
Ta 0.496 0.825 0.538
Ta 0.505 0.826 0.322
Ta 0.506 0.829 0.821
Ta 0.515 0.170 0.198
Ta 0.516 0.160 0.690
Ta 0.516 0.166 0.987
Ta 0.525 0.494 0.661
Ta 0.532 0.495 0.154
Ta 0.990 0.995 0.654
Ta 0.991 0.002 0.156
Si 0.146 0.807 0.594
Si 0.148 0.471 0.930
Si 0.164 0.145 0.261
Si 0.164 0.189 0.928
Si 0.216 0.822 0.925
Si 0.217 0.149 0.599
Si 0.305 0.651 0.100
Si 0.308 0.322 0.424
Si 0.354 0.689 0.429
Si 0.358 0.644 0.761
Si 0.369 0.337 0.755
Si 0.375 0.307 0.094
Si 0.376 0.971 0.430
Si 0.638 0.313 0.592
Si 0.650 0.977 0.927
Si 0.654 0.015 0.592
Si 0.666 0.348 0.262
Si 0.669 0.647 0.258
Si 0.705 0.993 0.258
Si 0.721 0.658 0.592
Si 0.794 0.163 0.091
Si 0.817 0.494 0.759
Si 0.856 0.847 0.762
Si 0.857 0.147 0.758
Si 0.866 0.514 0.089
Si 0.874 0.477 0.426
Si 0.886 0.811 0.093
S 0.167 0.835 0.255
S 0.168 0.530 0.595
S 0.201 0.493 0.259
S 0.322 0.992 0.759
S 0.353 0.028 0.096
S 0.669 0.682 0.923
S 0.734 0.322 0.932
S 0.787 0.820 0.430
S 0.855 0.183 0.422
O 0.068 0.566 0.936
O 0.070 0.900 0.603
O 0.076 0.758 0.537
O 0.078 0.237 0.265
O 0.082 0.083 0.210
O 0.090 0.421 0.871
O 0.094 0.564 0.250
O 0.095 0.237 0.985
O 0.096 0.413 0.986
O 0.104 0.445 0.597
O 0.105 0.859 0.312
O 0.109 0.579 0.643
O 0.110 0.904 0.921
O 0.113 0.411 0.260
O 0.115 0.090 0.929
O 0.116 0.063 0.601
O 0.117 0.243 0.870
O 0.117 0.749 0.650
O 0.119 0.731 0.931
O 0.119 0.746 0.245
O 0.120 0.233 0.605
O 0.126 0.573 0.537
O 0.132 0.894 0.209
O 0.157 0.097 0.323
O 0.173 0.688 0.435
O 0.185 0.661 0.745
O 0.187 0.339 0.762
O 0.189 0.023 0.100
O 0.190 0.646 0.153
O 0.193 0.311 0.367
O 0.196 0.319 0.087
O 0.200 0.647 0.039
O 0.200 0.987 0.431
O 0.207 0.332 0.481
O 0.212 0.982 0.712
O 0.258 0.007 0.816
O 0.264 0.509 0.316
O 0.309 0.484 0.212
O 0.315 0.832 0.982
O 0.319 0.146 0.536
O 0.323 0.488 0.932
O 0.326 0.819 0.587
O 0.329 0.527 0.596
O 0.331 0.811 0.868
O 0.334 0.834 0.262
O 0.336 0.143 0.650
O 0.337 0.160 0.246
O 0.345 0.187 0.937
O 0.364 0.598 0.823
O 0.388 0.071 0.039
O 0.402 0.735 0.106
O 0.404 0.564 0.103
O 0.405 0.231 0.430
O 0.405 0.248 0.150
O 0.406 0.591 0.429
O 0.406 0.743 0.370
O 0.407 0.909 0.761
O 0.411 0.408 0.705
O 0.413 0.077 0.144
O 0.413 0.404 0.420
O 0.414 0.238 0.743
O 0.415 0.943 0.099
O 0.426 0.738 0.485
O 0.426 0.913 0.486
O 0.428 0.061 0.749
O 0.435 0.920 0.371
O 0.442 0.359 0.817
O 0.442 0.587 0.709
O 0.443 0.738 0.766
O 0.446 0.258 0.037
O 0.451 0.400 0.105
O 0.454 0.067 0.435
O 0.554 0.069 0.934
O 0.555 0.405 0.599
O 0.575 0.923 0.870
O 0.579 0.738 0.268
O 0.581 0.247 0.642
O 0.582 0.262 0.531
O 0.588 0.591 0.205
O 0.590 0.918 0.584
O 0.593 0.058 0.650
O 0.596 0.071 0.241
O 0.598 0.372 0.324
O 0.605 0.252 0.247
O 0.608 0.596 0.919
O 0.609 0.906 0.269
O 0.611 0.719 0.977
O 0.616 0.742 0.583
O 0.618 0.574 0.603
O 0.619 0.078 0.536
O 0.619 0.415 0.209
O 0.622 0.921 0.984
O 0.628 0.737 0.872
O 0.636 0.242 0.934
O 0.636 0.397 0.934
O 0.676 0.841 0.767
O 0.682 0.599 0.318
O 0.686 0.171 0.146
O 0.687 0.506 0.098
O 0.688 0.165 0.740
O 0.691 0.145 0.034
O 0.691 0.182 0.423
O 0.696 0.825 0.482
O 0.698 0.478 0.705
O 0.699 0.813 0.375
O 0.700 0.490 0.422
O 0.714 0.823 0.103
O 0.730 0.521 0.817
O 0.797 0.016 0.315
O 0.811 0.322 0.601
O 0.817 0.315 0.878
O 0.824 0.990 0.923
O 0.825 0.323 0.985
O 0.827 0.978 0.204
O 0.829 0.645 0.534
O 0.834 0.006 0.599
O 0.834 0.682 0.925
O 0.836 0.671 0.645
O 0.841 0.670 0.242
O 0.845 0.098 0.818
O 0.846 0.340 0.266
O 0.879 0.740 0.431
O 0.886 0.894 0.429
O 0.897 0.237 0.371
O 0.899 0.077 0.103
O 0.901 0.579 0.036
O 0.902 0.419 0.482
O 0.904 0.914 0.709
O 0.906 0.243 0.085
O 0.911 0.406 0.770
O 0.913 0.219 0.477
O 0.916 0.097 0.417
O 0.916 0.751 0.747
O 0.924 0.560 0.149
O 0.925 0.871 0.824
O 0.929 0.571 0.740
O 0.934 0.418 0.085
O 0.941 0.762 0.032
O 0.942 0.090 0.706
O 0.943 0.745 0.144
O 0.946 0.237 0.767
O 0.948 0.423 0.369
O 0.968 0.569 0.432
O 0.971 0.904 0.104

Results
V in Å³/f.u.: 1098.6
Crystal system: triclinic
Calculated formation energy in eV per formula unit: -219.17
SG: P1


V of number 1 (Na4La2Si3Sn2S3O24)? 603.7 Å³/f.u.